Entry 1:
Below is a relaxed Mg5Si6 crystal, with properties calculated at the GGA-PBE level.

Geometry as extended XYZ:
```
22
Lattice="4.631 0.000 0.000 1.701 5.742 0.000 1.058 0.178 16.145" Properties=species:S:1:pos:R:3 pbc="T T T"
Mg 0.000 0.000 0.000
Mg 1.095 2.347 5.383
Mg 2.937 4.986 13.269
Mg 3.008 4.924 5.329
Mg 3.077 3.283 10.640
Mg 1.912 0.767 2.161
Mg 3.787 2.311 7.855
Mg 5.375 5.560 9.807
Mg 5.200 3.294 14.734
Mg 5.462 3.975 2.508
Si 1.169 1.445 11.551
Si 1.370 1.366 9.131
Si 3.004 4.841 8.322
Si 2.783 2.401 15.930
Si 3.116 3.721 1.140
Si 3.205 2.973 3.497
Si 3.487 0.921 12.270
Si 3.524 0.474 14.607
Si 3.391 0.741 5.791
Si 5.328 3.920 12.036
Si 5.505 4.501 7.099
Si 4.208 0.784 3.526
```

- E (MP2020): -3.568 eV/atom
- Space-group type: P1, No. 1
- Polymorph energy (0 for the lowest one): 53 meV per atom
- Crystal system: triclinic
- M_tot: 0.00 μB/atom
- ΔE_f: 11.5 kJ/mol of atoms

Entry 2:
Below is a relaxed Mg5Si6 crystal, with properties calculated at the GGA-PBE level.

Geometry as extended XYZ:
```
22
Lattice="6.812 0.000 0.000 0.000 4.053 0.000 -0.577 0.000 14.735" Properties=species:S:1:pos:R:3 pbc="T T T"
Mg 0.000 0.000 0.000
Mg -0.310 0.000 8.010
Mg -0.115 0.000 3.608
Mg 0.812 2.027 10.160
Mg 1.943 0.000 12.291
Mg 2.267 0.000 5.660
Mg 2.506 0.000 2.066
Mg 2.935 0.000 9.016
Mg 4.664 2.027 2.428
Mg 5.528 0.000 11.306
Si 0.059 2.027 5.648
Si 0.064 2.027 12.854
Si 0.528 2.027 1.832
Si 1.618 2.027 7.501
Si 2.005 2.027 3.799
Si 1.655 2.027 14.690
Si 3.464 2.027 11.083
Si 3.471 0.000 14.570
Si 4.042 2.027 6.956
Si 4.466 2.027 13.349
Si 5.015 0.000 5.729
Si 4.996 2.027 9.244
```

- E (MP2020): -3.550 eV/atom
- Space-group type: Pm, No. 6
- Polymorph energy (0 for the lowest one): 71 meV per atom
- Crystal system: monoclinic
- M_tot: 0.00 μB/atom
- ΔE_f: 13.2 kJ/mol of atoms

Entry 3:
Below is a relaxed Mg2Si3 crystal, with properties calculated at the GGA-PBE level.

Geometry as extended XYZ:
```
20
Lattice="4.917 -2.053 0.000 4.917 2.053 0.000 -0.019 0.000 17.925" Properties=species:S:1:pos:R:3 pbc="T T T"
Mg 0.000 0.000 0.000
Mg 0.087 0.000 14.255
Mg 2.778 0.000 16.317
Mg 5.431 0.000 2.385
Mg 6.309 0.000 9.105
Mg 6.561 0.000 5.497
Mg 8.998 0.000 11.044
Mg 9.228 0.000 7.450
Si 0.003 0.000 4.452
Si 1.973 0.000 11.117
Si 2.140 0.000 7.315
Si 2.324 0.000 3.436
Si 3.360 0.000 13.092
Si 3.574 0.000 9.247
Si 3.711 0.000 5.444
Si 5.535 0.000 16.013
Si 5.682 0.000 12.200
Si 6.958 0.000 0.123
Si 7.112 0.000 14.141
Si 8.382 0.000 2.458
```

- E (MP2020): -3.768 eV/atom
- Space-group type: Cm, No. 8
- Polymorph energy (0 for the lowest one): 48 meV per atom
- Crystal system: monoclinic
- M_tot: 0.00 μB/atom
- ΔE_f: 12.3 kJ/mol of atoms